# 1
Here is an optimized crystal structure of BaThO3 from the Materials Project. Energies are from GGA-PBE.

Properties
symmetry = Pm-3m (221)

Lattice parameters (Å, degrees): 4.6001 4.6001 4.6001 90.00 90.00 90.00
Closest atoms and distances in Å follow each position.
Positions (direct):
1 Ba 0.0000 0.0000 0.0000  12 O 3.25
2 Th 0.5000 0.5000 0.5000  6 O 2.30
3 O 0.0000 0.5000 0.5000  2 Th 2.30
4 O 0.5000 0.0000 0.5000  2 Th 2.30
5 O 0.5000 0.5000 0.0000  2 Th 2.30

# 2
Here is an optimized crystal structure of RbSmSe2O8 from the Materials Project. Energies are from GGA-PBE.

Properties
symmetry = P2_1/c (14)

Lattice parameters (Å, degrees): 9.3188 7.4538 11.1545 90.00 91.20 90.00
Closest atoms and distances in Å follow each position.
Positions (direct):
1 Rb 0.0637 0.1452 0.3405  7 O 2.89-3.15
2 Rb 0.0637 0.3548 0.8405  7 O 2.89-3.15
3 Rb 0.9363 0.6452 0.1595  7 O 2.89-3.15
4 Rb 0.9363 0.8548 0.6595  7 O 2.89-3.15
5 Sm 0.4473 0.6681 0.6518  8 O 2.41-2.56
6 Sm 0.4473 0.8319 0.1518  8 O 2.41-2.56
7 Sm 0.5527 0.1681 0.8482  8 O 2.41-2.56
8 Sm 0.5527 0.3319 0.3482  8 O 2.41-2.56
9 Se 0.2354 0.6584 0.4120  4 O 1.64-1.70
10 Se 0.2354 0.8416 0.9120  4 O 1.64-1.70
11 Se 0.3217 0.1673 0.6086  4 O 1.64-1.71
12 Se 0.3217 0.3327 0.1086  4 O 1.64-1.71
13 Se 0.6783 0.6673 0.8914  4 O 1.64-1.71
14 Se 0.6783 0.8327 0.3914  4 O 1.64-1.71
15 Se 0.7646 0.1584 0.0880  4 O 1.64-1.70
16 Se 0.7646 0.3416 0.5880  4 O 1.64-1.70
17 O 0.1013 0.5276 0.3730  1 Se 1.64
18 O 0.1013 0.9724 0.8730  1 Se 1.64
19 O 0.1464 0.1484 0.6054  1 Se 1.64
20 O 0.1464 0.3516 0.1054  1 Se 1.64
21 O 0.2175 0.7405 0.0458  1 Se 1.68
22 O 0.2175 0.7595 0.5458  1 Se 1.68
23 O 0.2668 0.6879 0.8054  1 Se 1.68
24 O 0.2668 0.8121 0.3054  1 Se 1.68
25 O 0.3719 0.1553 0.1965  1 Se 1.71
26 O 0.3719 0.3447 0.6965  1 Se 1.71
27 O 0.3849 0.1724 0.4701  1 Se 1.67
28 O 0.3849 0.3276 0.9701  1 Se 1.67
29 O 0.3894 0.5449 0.4456  1 Se 1.70
30 O 0.3894 0.9551 0.9456  1 Se 1.70
31 O 0.4090 0.0029 0.6872  1 Se 1.70
32 O 0.4090 0.4971 0.1872  1 Se 1.70
33 O 0.5910 0.5029 0.8128  1 Se 1.70
34 O 0.5910 0.9971 0.3128  1 Se 1.70
35 O 0.6106 0.0449 0.0544  1 Se 1.70
36 O 0.6106 0.4551 0.5544  1 Se 1.70
37 O 0.6151 0.6724 0.0299  1 Se 1.67
38 O 0.6151 0.8276 0.5299  1 Se 1.67
39 O 0.6281 0.6553 0.3035  1 Se 1.71
40 O 0.6281 0.8447 0.8035  1 Se 1.71
41 O 0.7332 0.1879 0.6946  1 Se 1.68
42 O 0.7332 0.3121 0.1946  1 Se 1.68
43 O 0.7825 0.2405 0.4542  1 Se 1.68
44 O 0.7825 0.2595 0.9542  1 Se 1.68
45 O 0.8536 0.6484 0.8946  1 Se 1.64
46 O 0.8536 0.8516 0.3946  1 Se 1.64
47 O 0.8987 0.0276 0.1270  1 Se 1.64
48 O 0.8987 0.4724 0.6270  1 Se 1.64

# 3
Here is an optimized crystal structure of Y6OsI10 from the Materials Project. Energies are from GGA-PBE.

Properties
symmetry = P-1 (2)

Lattice parameters (Å, degrees): 7.7634 9.7433 9.7788 106.97 96.76 104.53
Closest atoms and distances in Å follow each position.
Positions (direct):
1 Y 0.0314 0.2196 0.4177  1 Os 2.70
2 Y 0.1145 0.5426 0.2613  1 Os 2.70
3 Y 0.3515 0.6254 0.6678  1 Os 2.78, 1 I 3.03
4 Y 0.6485 0.3746 0.3322  1 Os 2.78, 1 I 3.03
5 Y 0.8855 0.4574 0.7387  1 Os 2.70
6 Y 0.9686 0.7804 0.5823  1 Os 2.70
7 Os 0.0000 0.5000 0.5000  6 Y 2.70-2.78
8 I 0.0863 0.8708 0.3201  3 Y 3.11-3.40
9 I 0.2178 0.2432 0.1545  3 Y 3.13-3.32
10 I 0.2563 0.5866 0.9601  3 Y 3.11-3.37
11 I 0.3486 0.9493 0.7715  2 Y 3.03-3.06
12 I 0.4549 0.3159 0.5922  4 Y 3.21-3.29
13 I 0.5451 0.6841 0.4078  4 Y 3.21-3.29
14 I 0.6514 0.0507 0.2285  2 Y 3.03-3.06
15 I 0.7437 0.4134 0.0399  3 Y 3.11-3.37
16 I 0.7822 0.7568 0.8455  3 Y 3.13-3.32
17 I 0.9137 0.1292 0.6799  3 Y 3.11-3.40

# 4
Here is an optimized crystal structure of MgSn2 from the Materials Project. Energies are from GGA-PBE.

Properties
symmetry = R32 (155)

Lattice parameters (Å, degrees): 6.1462 6.1462 6.1462 57.39 57.39 57.39
Closest atoms and distances in Å follow each position.
Positions (direct):
1 Mg 0.1676 0.1676 0.1676  9 Sn 3.22-3.41, 3 Mg 3.41
2 Mg 0.8324 0.8324 0.8324  9 Sn 3.22-3.41, 3 Mg 3.41
3 Sn 0.0000 0.6698 0.3302  4 Mg 3.22-3.23, 8 Sn 3.23-3.42
4 Sn 0.3302 0.0000 0.6698  4 Mg 3.22-3.23, 8 Sn 3.23-3.42
5 Sn 0.5000 0.5000 0.5000  6 Sn 3.23, 6 Mg 3.41
6 Sn 0.6698 0.3302 0.0000  4 Mg 3.22-3.23, 8 Sn 3.23-3.42

# 5
Here is an optimized crystal structure of Ba5Os3ClO15 from the Materials Project. Energies are from GGA-PBE.

Properties
symmetry = P6_3cm (185)

Lattice parameters (Å, degrees): 11.1155 11.1155 7.9748 90.00 90.00 120.00
Closest atoms and distances in Å follow each position.
Positions (direct):
1 Ba 0.0000 0.2649 0.0000  7 O 2.79-3.03
2 Ba 0.0000 0.7351 0.5000  7 O 2.79-3.03
3 Ba 0.2649 0.0000 0.0000  7 O 2.79-3.03
4 Ba 0.2649 0.2649 0.5000  7 O 2.79-3.03
5 Ba 0.3333 0.6667 0.2362  9 O 2.76-2.83
6 Ba 0.3333 0.6667 0.7362  9 O 2.76-2.83
7 Ba 0.6667 0.3333 0.2362  9 O 2.76-2.83
8 Ba 0.6667 0.3333 0.7362  9 O 2.76-2.83
9 Ba 0.7351 0.0000 0.5000  7 O 2.79-3.03
10 Ba 0.7351 0.7351 0.0000  7 O 2.79-3.03
11 Os 0.0000 0.3879 0.4474  5 O 1.75-1.87
12 Os 0.0000 0.6121 0.9474  5 O 1.75-1.87
13 Os 0.3879 0.0000 0.4474  5 O 1.75-1.87
14 Os 0.3879 0.3879 0.9474  5 O 1.75-1.87
15 Os 0.6121 0.0000 0.9474  5 O 1.75-1.87
16 Os 0.6121 0.6121 0.4474  5 O 1.75-1.87
17 Cl 0.0000 0.0000 0.2714  6 Ba 3.46-3.65, 9 O 3.47-3.81
18 Cl 0.0000 0.0000 0.7714  6 Ba 3.46-3.65, 9 O 3.47-3.81
19 O 0.0000 0.2936 0.6226  1 Os 1.75
20 O 0.0000 0.7064 0.1226  1 Os 1.75
21 O 0.1300 0.5538 0.9796  1 Os 1.87
22 O 0.1300 0.5762 0.4796  1 Os 1.87
23 O 0.1312 0.3885 0.3008  1 Os 1.87
24 O 0.1312 0.7427 0.8008  1 Os 1.87
25 O 0.2573 0.3885 0.8008  1 Os 1.87
26 O 0.2573 0.8688 0.3008  1 Os 1.87
27 O 0.2936 0.0000 0.6226  1 Os 1.75
28 O 0.2936 0.2936 0.1226  1 Os 1.75
29 O 0.3885 0.1312 0.3008  1 Os 1.87
30 O 0.3885 0.2573 0.8008  1 Os 1.87
31 O 0.4238 0.5538 0.4796  1 Os 1.87
32 O 0.4238 0.8700 0.9796  1 Os 1.87
33 O 0.4462 0.5762 0.9796  1 Os 1.87
34 O 0.4462 0.8700 0.4796  1 Os 1.87
35 O 0.5538 0.1300 0.9796  1 Os 1.87
36 O 0.5538 0.4238 0.4796  1 Os 1.87
37 O 0.5762 0.1300 0.4796  1 Os 1.87
38 O 0.5762 0.4462 0.9796  1 Os 1.87
39 O 0.6115 0.7427 0.3008  1 Os 1.87
40 O 0.6115 0.8688 0.8008  1 Os 1.87
41 O 0.7064 0.0000 0.1226  1 Os 1.75
42 O 0.7064 0.7064 0.6226  1 Os 1.75
43 O 0.7427 0.1312 0.8008  1 Os 1.87
44 O 0.7427 0.6115 0.3008  1 Os 1.87
45 O 0.8688 0.2573 0.3008  1 Os 1.87
46 O 0.8688 0.6115 0.8008  1 Os 1.87
47 O 0.8700 0.4238 0.9796  1 Os 1.87
48 O 0.8700 0.4462 0.4796  1 Os 1.87

# 6
Here is an optimized crystal structure of TbSn3 from the Materials Project. Energies are from GGA-PBE.

Properties
symmetry = Pm-3m (221)

Lattice parameters (Å, degrees): 4.7263 4.7263 4.7263 90.00 90.00 90.00
Closest atoms and distances in Å follow each position.
Positions (direct):
1 Tb 0.0000 0.0000 0.0000  12 Sn 3.34
2 Sn 0.0000 0.5000 0.5000  4 Tb 3.34, 8 Sn 3.34
3 Sn 0.5000 0.0000 0.5000  4 Tb 3.34, 8 Sn 3.34
4 Sn 0.5000 0.5000 0.0000  4 Tb 3.34, 8 Sn 3.34

# 7
Here is an optimized crystal structure of BiOF from the Materials Project. Energies are from GGA-PBE.

Properties
symmetry = P2_1/c (14)

Lattice parameters (Å, degrees): 6.0381 5.7731 5.8177 90.00 98.20 90.00
Closest atoms and distances in Å follow each position.
Positions (direct):
1 Bi 0.1998 0.0194 0.2894  4 O 2.33-2.47, 3 F 2.46-2.49
2 Bi 0.1998 0.4806 0.7894  4 O 2.33-2.47, 3 F 2.46-2.49
3 Bi 0.8002 0.5194 0.2106  4 O 2.33-2.47, 3 F 2.46-2.49
4 Bi 0.8002 0.9806 0.7106  4 O 2.33-2.47, 3 F 2.46-2.49
5 O 0.0306 0.7475 0.0104  4 Bi 2.33-2.47
6 O 0.0306 0.7525 0.5104  4 Bi 2.33-2.47
7 O 0.9694 0.2475 0.4896  4 Bi 2.33-2.47
8 O 0.9694 0.2525 0.9896  4 Bi 2.33-2.47
9 F 0.4392 0.1839 0.6352  3 Bi 2.46-2.49
10 F 0.4392 0.3161 0.1352  3 Bi 2.46-2.49
11 F 0.5608 0.6839 0.8648  3 Bi 2.46-2.49
12 F 0.5608 0.8161 0.3648  3 Bi 2.46-2.49

# 8
Here is an optimized crystal structure of ErC8N4Cl7 from the Materials Project. Energies are from GGA-PBE.

Properties
symmetry = P2_12_12 (18)

Lattice parameters (Å, degrees): 8.9463 13.8522 8.4914 90.00 90.00 90.00
Closest atoms and distances in Å follow each position.
Positions (direct):
1 Er 0.0000 0.0000 0.1383  4 Cl 2.46-2.59
2 Er 0.5000 0.5000 0.8617  4 Cl 2.46-2.59
3 C 0.0792 0.3271 0.8427  1 N 1.21
4 C 0.1767 0.3439 0.1185  1 N 1.33
5 C 0.2142 0.5354 0.4442  1 N 1.27
6 C 0.2307 0.1759 0.3814  1 N 1.24
7 C 0.2693 0.6759 0.6186  1 N 1.24
8 C 0.2858 0.0354 0.5558  1 N 1.27
9 C 0.3233 0.8439 0.8815  1 N 1.33
10 C 0.4208 0.8271 0.1573  1 N 1.21
11 C 0.5792 0.1729 0.1573  1 N 1.21
12 C 0.6767 0.1561 0.8815  1 N 1.33
13 C 0.7142 0.9646 0.5558  1 N 1.27
14 C 0.7307 0.3241 0.6186  1 N 1.24
15 C 0.7693 0.8241 0.3814  1 N 1.24
16 C 0.7858 0.4646 0.4442  1 N 1.27
17 C 0.8233 0.6561 0.1185  1 N 1.33
18 C 0.9208 0.6729 0.8427  1 N 1.21
19 N 0.1390 0.3426 0.9675  2 C 1.21-1.33
20 N 0.2284 0.6041 0.5424  2 C 1.24-1.27
21 N 0.2716 0.1041 0.4576  2 C 1.24-1.27
22 N 0.3610 0.8426 0.0325  2 C 1.21-1.33
23 N 0.6390 0.1574 0.0325  2 C 1.21-1.33
24 N 0.7284 0.8959 0.4576  2 C 1.24-1.27
25 N 0.7716 0.3959 0.5424  2 C 1.24-1.27
26 N 0.8610 0.6574 0.9675  2 C 1.21-1.33
27 Cl 0.0000 0.5000 0.4089  2 C 2.00
28 Cl 0.1174 0.8913 0.3305  1 Er 2.46
29 Cl 0.1380 0.8826 0.8558  1 C 1.76
30 Cl 0.2317 0.1095 0.1006  1 C 2.56, 1 Er 2.59
31 Cl 0.2683 0.6095 0.8994  1 C 2.56, 1 Er 2.59
32 Cl 0.3620 0.3826 0.1442  1 C 1.76
33 Cl 0.3826 0.3913 0.6695  1 Er 2.46
34 Cl 0.5000 0.0000 0.5911  2 C 2.00
35 Cl 0.6174 0.6087 0.6695  1 Er 2.46
36 Cl 0.6380 0.6174 0.1442  1 C 1.76
37 Cl 0.7317 0.3905 0.8994  1 C 2.56, 1 Er 2.59
38 Cl 0.7683 0.8905 0.1006  1 C 2.56, 1 Er 2.59
39 Cl 0.8620 0.1174 0.8558  1 C 1.76
40 Cl 0.8826 0.1087 0.3305  1 Er 2.46

Respective E values: -8.115 -5.908 -5.047 -3.223 -6.906 -4.607 -5.397 -5.556 eV per atom.